Na4CaSi3Sn3S3O24: relaxed, PBE.

abc: 9.041 9.041 23.162
angles: 89.28 89.65 60.11
Space group P1 (No. 1)
One atom of each set of equivalent atoms:
Na 0.000 0.000 0.000 x1
Na 0.003 0.622 0.758 x1
Na 0.010 0.998 0.494 x1
Na 0.310 0.356 0.331 x1
Na 0.313 0.347 0.836 x1
Na 0.342 0.011 0.757 x1
Na 0.349 0.626 0.253 x1
Na 0.631 0.016 0.250 x1
Na 0.653 0.653 0.672 x1
Na 0.668 0.303 0.410 x1
Na 0.674 0.654 0.163 x1
Na 0.990 0.372 0.245 x1
Ca 0.312 0.346 0.179 x1
Ca 0.320 0.343 0.687 x1
Ca 0.999 0.997 0.356 x1
Si 0.013 0.338 0.086 x1
Si 0.287 0.711 0.753 x1
Si 0.365 0.673 0.420 x1
Si 0.373 0.959 0.919 x1
Si 0.691 0.300 0.254 x1
Si 0.948 0.676 0.916 x1
Si 0.951 0.377 0.421 x1
Si 0.978 0.299 0.755 x1
Si 0.985 0.714 0.251 x1
Sn 0.016 0.990 0.859 x1
Sn 0.298 0.335 0.980 x1
Sn 0.310 0.351 0.480 x1
Sn 0.654 0.666 0.516 x1
Sn 0.656 0.663 0.820 x1
Sn 0.664 0.672 0.016 x1
Sn 0.670 0.650 0.316 x1
Sn 0.974 0.019 0.150 x1
Sn 0.997 0.013 0.656 x1
S 0.015 0.643 0.584 x1
S 0.288 0.998 0.251 x1
S 0.323 0.638 0.082 x1
S 0.327 0.035 0.583 x1
S 0.618 0.040 0.082 x1
S 0.625 0.335 0.583 x1
S 0.650 0.963 0.419 x1
S 0.653 0.374 0.920 x1
S 0.704 0.001 0.753 x1
O 0.005 0.156 0.087 x1
O 0.008 0.171 0.809 x1
O 0.029 0.791 0.305 x1
O 0.074 0.374 0.146 x1
O 0.086 0.541 0.636 x1
O 0.126 0.561 0.532 x1
O 0.140 0.521 0.247 x1
O 0.141 0.301 0.030 x1
O 0.143 0.360 0.424 x1
O 0.143 0.509 0.921 x1
O 0.152 0.307 0.749 x1
O 0.153 0.800 0.806 x1
O 0.166 0.810 0.086 x1
O 0.170 0.018 0.586 x1
O 0.178 0.827 0.422 x1
O 0.180 0.986 0.917 x1
O 0.184 0.031 0.302 x1
O 0.210 0.835 0.693 x1
O 0.213 0.964 0.198 x1
O 0.298 0.529 0.749 x1
O 0.300 0.549 0.031 x1
O 0.303 0.146 0.531 x1
O 0.315 0.145 0.243 x1
O 0.352 0.106 0.636 x1
O 0.353 0.543 0.136 x1
O 0.362 0.147 0.923 x1
O 0.378 0.479 0.425 x1
O 0.451 0.701 0.478 x1
O 0.458 0.835 0.974 x1
O 0.460 0.840 0.257 x1
O 0.469 0.711 0.759 x1
O 0.477 0.658 0.074 x1
O 0.478 0.879 0.858 x1
O 0.485 0.635 0.361 x1
O 0.485 0.862 0.577 x1
O 0.493 0.136 0.426 x1
O 0.498 0.359 0.927 x1
O 0.503 0.323 0.246 x1
O 0.521 0.359 0.634 x1
O 0.528 0.107 0.137 x1
O 0.531 0.146 0.746 x1
O 0.533 0.154 0.031 x1
O 0.545 0.312 0.529 x1
O 0.620 0.480 0.866 x1
O 0.622 0.888 0.367 x1
O 0.634 0.868 0.076 x1
O 0.644 0.491 0.578 x1
O 0.673 0.858 0.472 x1
O 0.675 0.494 0.254 x1
O 0.685 0.453 0.970 x1
O 0.691 0.841 0.756 x1
O 0.767 0.194 0.312 x1
O 0.784 0.026 0.803 x1
O 0.794 0.019 0.084 x1
O 0.797 0.716 0.256 x1
O 0.798 0.984 0.417 x1
O 0.799 0.176 0.587 x1
O 0.806 0.204 0.912 x1
O 0.810 0.970 0.698 x1
O 0.814 0.495 0.759 x1
O 0.820 0.220 0.197 x1
O 0.821 0.508 0.075 x1
O 0.834 0.471 0.477 x1
O 0.834 0.704 0.973 x1
O 0.841 0.662 0.576 x1
O 0.870 0.638 0.857 x1
O 0.879 0.493 0.360 x1
O 0.938 0.229 0.693 x1
O 0.946 0.839 0.192 x1
O 0.951 0.201 0.422 x1
O 0.954 0.854 0.911 x1
O 0.999 0.817 0.589 x1

Results
The calculation puts the total magnetization at 0.26 Bohr magnetons per cell. The formation enthalpy at 0 K comes out at -2.333 eV per atom.

BaCuO2: relaxed, PBE.

abc: 6.061 11.910 3.703
angles: 90.00 90.00 90.00
Space group Pbam (No. 55)
One atom of each set of equivalent atoms:
Ba 0.231 0.143 0.000 x4
Cu 0.233 0.374 0.500 x4
O 0.008 0.740 0.500 x4
O 0.239 0.915 0.000 x4

Results
The calculation puts the total magnetization at 3.46 Bohr magnetons per cell. The formation enthalpy at 0 K comes out at -1.882 eV per atom.

Tl2TeI6: relaxed, PBE.

abc: 8.025 8.618 13.948
angles: 90.00 124.60 90.00
Space group P2_1/c (No. 14)
One atom of each set of equivalent atoms:
Tl 0.219 0.096 0.247 x4
Te 0.500 0.000 0.000 x2
I 0.150 0.189 0.953 x4
I 0.271 0.706 0.959 x4
I 0.340 0.010 0.748 x4

Results
The formation enthalpy at 0 K comes out at -0.644 eV per atom.

TmAsS: relaxed, PBE.

abc: 3.790 3.801 8.415
angles: 90.00 90.00 90.00
Space group Pmmn (No. 59, origin choice 2)
One atom of each set of equivalent atoms:
Tm 0.250 0.250 0.208 x2
As 0.250 0.750 0.497 x2
S 0.250 0.250 0.875 x2

Results
The calculation puts the total magnetization at 0.00 Bohr magnetons per cell. The formation enthalpy at 0 K comes out at -1.682 eV per atom.